# 1
! Na6Sc4Ta4Si7S5O48 | the Materials Project | PBE-GGA | optimized geometry; values from VASP
&SYSTEM
  ibrav = 0, nat = 222, ntyp = 6
/
ATOMIC_SPECIES
Na 22.99 Na.upf
Sc 44.96 Sc.upf
Ta 180.95 Ta.upf
Si 28.09 Si.upf
S 32.06 S.upf
O 16.00 O.upf
ATOMIC_POSITIONS angstrom
Na 0.0000 0.0000 0.0000
Na 0.0241 5.1560 19.1300
Na 0.0305 10.4066 15.2456
Na 0.1323 5.1486 7.4349
Na 0.1982 10.4782 3.8967
Na 1.2680 7.7772 17.1234
Na 3.2685 0.0112 5.5318
Na 4.3348 2.6304 15.4262
Na 4.4138 12.9037 19.0371
Na 4.5211 2.6323 3.7344
Na 4.5081 12.9435 7.5596
Na 4.5434 7.8263 11.4145
Na 4.6302 7.7545 22.8767
Na 5.5592 -0.0116 17.1847
Na 5.7883 10.4034 9.5353
Na 7.6974 2.5946 21.0553
Na 7.9356 7.7877 5.6619
Na 8.8464 -0.0196 11.3677
Sc 0.0007 10.4584 18.6525
Sc 0.0749 5.1553 4.2267
Sc 0.0904 10.3998 7.1118
Sc 0.1180 15.4683 19.5748
Sc 0.2292 5.1881 15.6615
Sc 4.4136 12.9581 4.0994
Sc 4.4412 7.7479 8.0468
Sc 4.4578 2.5944 18.6171
Sc 4.4861 12.9166 15.7144
Sc 4.5543 2.6861 7.1157
Sc 4.6922 12.9431 11.0874
Sc 8.7876 5.1674 22.5664
Ta 0.0556 0.0277 8.0650
Ta 0.0719 5.1811 10.9341
Ta 0.1436 0.0825 14.7265
Ta 0.2003 0.0018 3.2063
Ta 4.3458 7.8353 14.7753
Ta 4.4171 7.8946 3.2380
Ta 4.4676 7.7886 19.5936
Ta 4.5982 2.4853 11.9490
Ta 4.6064 12.9578 22.4888
Ta 4.6775 2.5963 0.3898
Ta 8.8465 10.3628 0.5548
Ta 8.8398 10.3588 11.8617
Si 1.2977 7.4753 13.3394
Si 1.3391 2.2957 5.6998
Si 1.3468 13.2865 5.6888
Si 1.3697 2.9673 13.3099
Si 1.8763 7.7723 5.7207
Si 2.6804 -0.0220 17.2014
Si 3.1892 10.7756 1.8153
Si 3.1854 10.0829 17.2198
Si 3.2546 5.4943 17.1709
Si 3.2826 15.2657 1.8504
Si 5.7883 10.6818 13.3614
Si 5.7916 4.8405 20.9348
Si 5.8074 0.2722 20.8941
Si 5.8347 15.1637 13.4322
Si 6.3659 10.3810 20.9503
Si 7.0893 13.0133 1.9556
Si 7.1168 2.6094 9.4725
Si 7.6699 7.4184 1.9628
Si 7.6585 8.0808 9.4418
Si 7.6951 12.6453 9.4634
Si 7.7267 2.9505 1.8929
S 1.3191 8.1029 20.9767
S 1.3425 12.5778 21.0352
S 1.8779 12.9541 13.3333
S 1.9150 2.6103 21.0146
S 2.6272 10.4020 9.5463
S 2.6850 5.2010 1.8577
S 3.2246 0.3561 9.5094
S 3.2261 4.8329 9.5609
S 5.7690 10.0460 5.6904
S 5.7806 5.5646 5.6694
S 6.3906 5.1813 13.3170
S 6.4425 0.0148 5.7034
S 7.0353 7.7592 17.1685
S 7.7191 2.2522 17.1486
S 7.7126 13.3180 17.1360
O 0.6387 11.8586 5.8008
O 0.6494 3.6628 12.0205
O 0.6607 3.7347 5.6264
O 0.6553 6.9035 14.7080
O 0.7056 1.4910 7.0335
O 0.7021 13.9169 20.9420
O 0.7207 14.1103 4.3927
O 0.7271 1.4381 13.5055
O 0.7516 11.8865 22.1977
O 0.7727 8.9960 13.0402
O 0.7895 6.7388 21.1113
O 0.7867 8.7090 19.7335
O 0.9303 6.4669 5.6170
O 0.9558 9.1087 5.7134
O 0.9504 14.1595 13.5218
O 0.9594 14.3051 6.9911
O 0.9794 6.4565 12.0826
O 0.9986 11.7652 13.1712
O 1.0164 1.4121 20.9187
O 1.0385 1.2879 4.4197
O 1.0458 3.8087 21.1313
O 1.0703 8.9444 22.1560
O 1.1133 11.8031 19.7883
O 1.1536 3.8161 14.6454
O 1.5540 10.0443 17.2952
O 1.6116 10.4992 1.4856
O 1.6053 5.5104 17.1060
O 1.6224 0.1150 15.8674
O 1.6304 15.3959 1.9624
O 1.6620 15.3706 18.4607
O 1.7263 0.2880 9.4379
O 1.7249 4.9816 9.7124
O 1.7788 10.2112 10.7544
O 1.8301 10.5552 8.3309
O 1.8940 4.9962 3.0650
O 1.8969 5.4749 0.6551
O 2.6647 13.2301 12.1281
O 2.6689 12.7515 14.5377
O 2.7130 2.7675 19.7910
O 2.7624 2.4211 22.2144
O 2.8079 12.7328 21.1649
O 2.8385 8.0044 20.8659
O 2.8711 7.6098 7.0034
O 2.9429 7.9051 4.4048
O 2.9718 2.7654 12.9904
O 2.9631 7.5649 13.4659
O 2.9823 2.2916 5.8561
O 2.9799 13.3047 5.6749
O 3.3454 11.5928 3.1770
O 3.4129 4.0505 8.3364
O 3.4944 11.6019 9.6747
O 3.5062 1.2209 10.7251
O 3.5008 9.0728 15.8794
O 3.5276 9.2030 9.4620
O 3.5670 4.0147 1.6954
O 3.5660 14.2690 0.5816
O 3.5786 6.5183 18.4434
O 3.6054 6.4107 2.0486
O 3.6004 1.3132 17.1739
O 3.6167 14.2179 17.0750
O 3.7660 14.5591 9.6874
O 3.7809 0.9836 8.3078
O 3.7833 4.1479 10.7481
O 3.8220 1.2517 1.5482
O 3.8204 6.1758 9.4853
O 3.8341 9.2344 18.4858
O 3.8595 9.2372 2.0296
O 3.8727 6.3147 15.8494
O 3.8918 11.4955 17.0926
O 3.9008 14.7318 3.2410
O 3.9220 11.4533 0.5310
O 3.9300 4.0572 17.2371
O 5.0925 6.3380 20.7735
O 5.1046 14.3623 21.1874
O 5.1152 4.1192 22.2805
O 5.1360 4.2278 5.7562
O 5.1488 11.2092 11.9651
O 5.1630 11.3661 5.5699
O 5.1478 14.6550 14.7755
O 5.1879 0.9082 19.5510
O 5.2061 1.1811 13.1187
O 5.2176 6.2445 4.4751
O 5.2449 9.3987 6.9197
O 5.2438 9.1198 13.6090
O 5.3904 11.6675 21.1810
O 5.4352 9.0197 20.7923
O 5.4576 9.1652 4.4869
O 5.4715 1.3028 22.2024
O 5.4833 3.9856 13.0883
O 5.5343 6.3634 6.8980
O 5.5329 6.3760 13.4351
O 5.5548 1.2103 5.8553
O 5.5558 11.6128 14.6317
O 5.5636 3.8577 19.6850
O 5.5837 14.3619 5.6651
O 5.5956 14.3556 12.0680
O 6.0343 7.6460 2.1819
O 6.0274 8.0224 9.4555
O 6.0599 2.7786 1.6696
O 6.0664 12.7678 9.6384
O 6.0992 2.4366 10.7905
O 6.1699 2.8596 8.2034
O 6.1785 13.2121 0.5869
O 6.2051 12.6806 3.2310
O 6.1957 7.6096 18.3923
O 6.2032 7.9432 15.9576
O 6.2471 2.2912 17.1644
O 6.2502 13.1965 17.0257
O 7.1733 4.9140 14.5236
O 7.2431 5.4412 5.5808
O 7.2444 5.3645 12.1136
O 7.2422 10.0876 5.7175
O 7.2672 0.2125 4.5146
O 7.2847 15.4236 6.9499
O 7.2987 10.5913 19.6491
O 7.3699 10.1597 22.2448
O 7.4182 4.9700 21.0887
O 7.4448 0.2345 20.8884
O 7.4513 10.5188 13.1488
O 7.4596 15.4143 13.6314
O 7.8766 6.5850 0.6031
O 7.8820 6.5448 17.0752
O 7.9177 3.8948 3.1617
O 7.9137 11.6348 8.2379
O 7.9281 8.9434 17.2888
O 7.9479 14.1234 18.3544
O 8.0142 9.0964 10.7518
O 8.0454 14.3244 2.0730
O 8.0396 1.3703 15.9403
O 8.0554 1.2748 9.3604
O 8.0612 3.9215 9.7812
O 8.0838 11.7189 1.6108
O 8.2657 1.6381 18.3698
O 8.2927 8.9550 1.6658
O 8.2757 14.0083 15.9340
O 8.3046 1.4312 2.1472
O 8.2932 3.5924 16.9733
O 8.3124 8.6658 8.1044
O 8.3273 6.6080 9.8187
O 8.3453 3.4890 0.4880
O 8.3394 6.8827 3.3100
O 8.3622 11.9054 10.8207
O 8.3563 11.9849 17.2125
O 8.3910 14.1399 9.3306
CELL_PARAMETERS angstrom
8.9365 0.0000 0.0000
-0.0076 15.5462 0.0000
-0.0240 -0.0432 22.9444
! Total magnetization ... 0.000 μB/f.u.
! Energy relative to the elements ... -2.8766 eV per atom
! Energy ... -7.52 eV/atom

***

# 2
! ZnC8N6 | the Materials Project | PBE-GGA | optimized geometry; values from VASP
&SYSTEM
  ibrav = 0, nat = 30, ntyp = 3
/
ATOMIC_SPECIES
Zn 65.41 Zn.upf
C 12.01 C.upf
N 14.01 N.upf
ATOMIC_POSITIONS angstrom
Zn 0.0000 0.0000 0.0000
Zn 3.7459 0.0000 5.3258
C 0.0000 2.1195 2.6819
C 0.0000 2.2347 7.0187
C 0.0000 3.1579 3.6329
C 0.0000 3.2731 7.9698
C 1.1947 1.6640 6.5583
C 1.1947 3.7286 4.0933
C 2.5513 1.6640 9.4192
C 2.5513 3.7286 1.2325
C 3.7459 2.1195 2.6439
C 3.7459 2.2347 8.9588
C 3.7459 3.1579 1.6929
C 3.7459 3.2731 8.0077
C 4.9406 1.6640 9.4192
C 4.9406 3.7286 1.2325
C 6.2972 1.6640 6.5583
C 6.2972 3.7286 4.0933
N 0.0000 1.2649 1.8807
N 0.0000 4.1277 8.7709
N 1.5734 1.1693 9.8277
N 1.5734 4.2233 0.8239
N 2.1725 1.1693 6.1497
N 2.1725 4.2233 4.5019
N 3.7459 1.2649 3.4451
N 3.7459 4.1277 7.2065
N 5.3194 1.1693 6.1497
N 5.3194 4.2233 4.5019
N 5.9184 1.1693 9.8277
N 5.9184 4.2233 0.8239
CELL_PARAMETERS angstrom
7.4919 0.0000 0.0000
0.0000 5.3926 0.0000
0.0000 0.0000 10.6517
! Total magnetization ... 0.000 μB/f.u.
! Energy relative to the elements ... 0.2575 eV per atom
! Energy ... -7.94 eV/atom

***

# 3
! KMg6Cu | the Materials Project | PBE-GGA | optimized geometry; values from VASP
&SYSTEM
  ibrav = 0, nat = 16, ntyp = 3
/
ATOMIC_SPECIES
K 39.10 K.upf
Mg 24.30 Mg.upf
Cu 63.55 Cu.upf
ATOMIC_POSITIONS angstrom
K -2.8607 -3.5935 0.1599
K 1.1105 -6.6634 4.4516
Mg -0.8837 -5.1503 2.2923
Mg -2.4959 -6.8713 0.1183
Mg -2.1335 -3.4936 -3.0538
Mg -0.3650 -1.6057 -0.6691
Mg 1.5316 -3.1621 1.3675
Mg -0.0424 -5.0413 -0.7839
Mg -0.1876 -11.7163 2.1677
Mg 1.4752 -9.9412 4.4100
Mg 1.8376 -6.5635 1.2378
Mg 0.3311 -8.1717 -0.7936
Mg 2.2277 -9.7281 1.2429
Mg 3.9287 -8.1112 3.5077
Cu -1.2369 -1.8171 2.3558
Cu -0.5408 -8.3831 2.2312
CELL_PARAMETERS angstrom
-3.9979 -0.4874 3.3507
-3.2750 -3.4961 -4.4162
4.6672 -9.6359 4.1671
! Total magnetization ... 0.001 μB/f.u.
! Energy relative to the elements ... 0.2324 eV per atom
! Energy ... -1.62 eV/atom

***

# 4
! K2TlHgBr6 | the Materials Project | PBE-GGA | optimized geometry; values from VASP
&SYSTEM
  ibrav = 0, nat = 10, ntyp = 4
/
ATOMIC_SPECIES
K 39.10 K.upf
Tl 204.38 Tl.upf
Hg 200.59 Hg.upf
Br 79.90 Br.upf
ATOMIC_POSITIONS angstrom
K 2.8608 2.8608 2.8608
K 8.5824 8.5824 8.5824
Tl 0.0000 0.0000 0.0000
Hg 5.7216 5.7216 5.7216
Br 5.7216 5.7216 2.9050
Br 5.7216 2.9050 5.7216
Br 8.5381 5.7216 5.7216
Br 2.9050 5.7216 5.7216
Br 5.7216 8.5381 5.7216
Br 5.7216 5.7216 8.5381
CELL_PARAMETERS angstrom
0.0000 5.7216 5.7216
5.7216 0.0000 5.7216
5.7216 5.7216 0.0000
! Total magnetization ... 0.001 μB/f.u.
! Energy relative to the elements ... -1.2947 eV per atom
! Energy ... -2.45 eV/atom

***

# 5
! Ta6Co16Ge7 | the Materials Project | PBE-GGA | optimized geometry; values from VASP
&SYSTEM
  ibrav = 0, nat = 29, ntyp = 3
/
ATOMIC_SPECIES
Ta 180.95 Ta.upf
Co 58.93 Co.upf
Ge 72.64 Ge.upf
ATOMIC_POSITIONS angstrom
Ta 5.6775 5.6775 2.2712
Ta 5.6775 2.2712 5.6775
Ta 9.0839 5.6775 5.6775
Ta 2.2712 5.6775 5.6775
Ta 5.6775 9.0839 5.6775
Ta 5.6775 5.6775 9.0839
Co 7.0265 4.3286 4.3286
Co 1.8760 1.8760 1.8760
Co 3.8016 3.8016 1.8760
Co 3.8016 1.8760 3.8016
Co 4.3286 4.3286 4.3286
Co 7.0265 7.0265 4.3286
Co 7.0265 4.3286 7.0265
Co 9.4791 7.5535 7.5535
Co 1.8760 3.8016 3.8016
Co 4.3286 7.0265 4.3286
Co 4.3286 4.3286 7.0265
Co 7.0265 7.0265 7.0265
Co 7.5535 9.4791 7.5535
Co 7.5535 7.5535 9.4791
Co 9.4791 9.4791 9.4791
Co 4.3286 7.0265 7.0265
Ge 2.8388 2.8388 0.0000
Ge 2.8388 0.0000 2.8388
Ge 5.6775 2.8388 2.8388
Ge 0.0000 2.8388 2.8388
Ge 2.8388 5.6775 2.8388
Ge 2.8388 2.8388 5.6775
Ge 5.6775 5.6775 5.6775
CELL_PARAMETERS angstrom
0.0000 5.6775 5.6775
5.6775 0.0000 5.6775
5.6775 5.6775 0.0000
! Energy relative to the elements ... -0.3160 eV per atom
! Energy ... -7.81 eV/atom

***

# 6
! Na2GeS3 | the Materials Project | PBE-GGA | optimized geometry; values from VASP
&SYSTEM
  ibrav = 0, nat = 24, ntyp = 3
/
ATOMIC_SPECIES
Na 22.99 Na.upf
Ge 72.64 Ge.upf
S 32.06 S.upf
ATOMIC_POSITIONS angstrom
Na 0.3003 2.6280 0.0911
Na -0.8771 5.1797 2.7814
Na 1.5941 8.2825 0.8825
Na 0.4167 15.1405 3.5728
Na 4.1901 0.4748 1.8078
Na 3.0127 7.3329 4.4982
Na 5.4840 10.4356 2.5993
Na 4.3066 12.9874 5.2896
Ge 1.6015 2.6787 3.5009
Ge 2.7789 5.1289 0.8106
Ge 1.8280 10.4864 4.5701
Ge 3.0054 12.9366 1.8798
S -0.4883 2.2443 2.9663
S 0.6891 5.5634 0.2759
S 0.6929 8.8821 3.6011
S 1.8703 14.5409 0.9108
S 2.8810 10.8200 1.0493
S 1.7036 12.6030 3.7396
S 2.9033 3.0123 1.6411
S 1.7259 4.7954 4.3314
S 2.7366 1.0744 4.4699
S 3.9140 6.7332 1.7796
S 3.9178 10.0519 5.1047
S 5.0952 13.3711 2.4144
CELL_PARAMETERS angstrom
6.9617 0.0000 0.0000
0.0000 15.6153 0.0000
-2.3548 0.0000 5.3807
! Energy relative to the elements ... -1.0914 eV per atom
! Energy ... -4.12 eV/atom

***

# 7
! Rb2NaDyCl6 | the Materials Project | PBE-GGA | optimized geometry; values from VASP
&SYSTEM
  ibrav = 0, nat = 10, ntyp = 4
/
ATOMIC_SPECIES
Rb 85.47 Rb.upf
Na 22.99 Na.upf
Dy 162.50 Dy.upf
Cl 35.45 Cl.upf
ATOMIC_POSITIONS angstrom
Rb 2.6986 2.6986 2.6986
Rb 8.0958 8.0958 8.0958
Na 0.0000 0.0000 0.0000
Dy 5.3972 5.3972 5.3972
Cl 5.3972 5.3972 2.7638
Cl 5.3972 2.7638 5.3972
Cl 8.0306 5.3972 5.3972
Cl 2.7638 5.3972 5.3972
Cl 5.3972 8.0306 5.3972
Cl 5.3972 5.3972 8.0306
CELL_PARAMETERS angstrom
0.0000 5.3972 5.3972
5.3972 0.0000 5.3972
5.3972 5.3972 0.0000
! Energy relative to the elements ... -2.4640 eV per atom
! Energy ... -3.99 eV/atom

***

# 8
! AgH2CS2N | the Materials Project | PBE-GGA | optimized geometry; values from VASP
&SYSTEM
  ibrav = 0, nat = 28, ntyp = 5
/
ATOMIC_SPECIES
Ag 107.87 Ag.upf
H 1.01 H.upf
C 12.01 C.upf
S 32.06 S.upf
N 14.01 N.upf
ATOMIC_POSITIONS angstrom
Ag 0.0000 0.0000 1.9407
Ag 0.0000 4.0301 1.2100
Ag 0.0000 0.0000 10.6623
Ag 0.0000 4.0301 5.0914
H 2.7391 3.2769 -2.0761
H 4.7832 1.2910 1.0746
H 1.2910 3.2769 -1.0746
H 1.2910 0.7531 4.2254
H 4.7832 2.7391 2.0761
H 2.7391 0.7531 5.2269
H -0.7531 1.2910 8.3776
H -0.7531 2.7391 7.3761
C 2.0150 -1.1009 4.7261
C 2.9292 2.0150 1.5754
C 2.0150 5.1310 -1.5754
C 1.1009 2.0150 7.8769
S 4.8548 2.1084 -2.5233
S 2.1084 0.8248 0.6275
S 3.2053 -1.9217 5.6740
S -0.8248 1.9217 3.7782
S 2.1084 3.2053 2.5233
S 0.8248 5.9518 -0.6275
S 1.9217 0.8248 8.8248
S 1.9217 3.2053 6.9289
N 2.0150 3.8017 -1.5754
N 4.2584 2.0150 1.5754
N 2.0150 0.2283 4.7261
N -0.2283 2.0150 7.8769
CELL_PARAMETERS angstrom
-4.0301 4.0301 6.3015
4.0301 -4.0301 6.3015
4.0301 4.0301 -6.3015
! Total magnetization ... 0.000 μB/f.u.
! Energy relative to the elements ... -0.2661 eV per atom
! Energy ... -5.14 eV/atom